# 1
# PBE NaSrSnSbO6, relaxed
data_NaSrSnSbO6
_chemical_formula_sum 'Na4 Sr4 Sn4 Sb4 O24'
_symmetry_space_group_name_H-M 'F -4 3 m'
_symmetry_Int_Tables_number 216
_symmetry_space_group_name_Hall 'F -4 2 3'
_cell_length_a 8.080
_cell_length_b 8.080
_cell_length_c 8.080
_cell_angle_alpha 90.00
_cell_angle_beta 90.00
_cell_angle_gamma 90.00
loop_
_atom_site_label
_atom_site_fract_x
_atom_site_fract_y
_atom_site_fract_z
_atom_site_occupancy
Na1 0.000 0.000 0.000 1
Sr1 0.000 0.000 0.500 1
Sn1 0.250 0.250 0.250 1
Sb1 0.250 0.250 0.750 1
O1 0.004 0.250 0.750 1
# ρ: 5.629 g/cm³
# DFT total energy: -237.0 eV per cell

# 2
# PBE NaScSe2O6, relaxed
data_NaScSe2O6
_chemical_formula_sum 'Na4 Sc4 Se8 O24'
_symmetry_space_group_name_H-M 'P n m a'
_symmetry_Int_Tables_number 62
_cell_length_a 13.030
_cell_length_b 5.572
_cell_length_c 8.291
_cell_angle_alpha 90.00
_cell_angle_beta 90.00
_cell_angle_gamma 90.00
loop_
_symmetry_equiv_pos_as_xyz
'x,y,z'
'-x,-y,-z'
'-x+1/2,-y,z+1/2'
'x+1/2,y,-z+1/2'
'x+1/2,-y+1/2,-z+1/2'
'-x+1/2,y+1/2,z+1/2'
'-x,y+1/2,-z'
'x,-y+1/2,z'
loop_
_atom_site_label
_atom_site_fract_x
_atom_site_fract_y
_atom_site_fract_z
_atom_site_occupancy
Na1 0.112 0.250 0.012 1
Sc1 0.100 0.750 0.700 1
Se1 0.070 0.750 0.282 1
Se2 0.208 0.250 0.496 1
O1 0.003 0.511 0.200 1
O2 0.027 0.750 0.478 1
O3 0.166 0.750 0.936 1
O4 0.210 0.007 0.625 1
# ρ: 3.551 g/cm³
# DFT total energy: -246.7 eV per cell

# 3
# PBE Na2ScSiO5, relaxed
data_Na2ScSiO5
_chemical_formula_sum 'Na16 Sc8 Si8 O40'
_symmetry_space_group_name_H-M 'P c a 21'
_symmetry_Int_Tables_number 29
_cell_length_a 13.725
_cell_length_b 5.373
_cell_length_c 12.204
_cell_angle_alpha 90.00
_cell_angle_beta 90.00
_cell_angle_gamma 90.00
loop_
_symmetry_equiv_pos_as_xyz
'x,y,z'
'-x,-y,z+1/2'
'-x+1/2,y,z+1/2'
'x+1/2,-y,z'
loop_
_atom_site_label
_atom_site_fract_x
_atom_site_fract_y
_atom_site_fract_z
_atom_site_occupancy
Na1 0.013 0.029 0.000 1
Na2 0.102 0.470 0.409 1
Na3 0.146 0.018 0.773 1
Na4 0.235 0.479 0.179 1
Sc1 0.029 0.510 0.661 1
Sc2 0.222 0.015 0.521 1
Si1 0.110 0.963 0.249 1
Si2 0.139 0.538 0.933 1
O1 0.013 0.128 0.212 1
O2 0.044 0.461 0.006 1
O3 0.088 0.663 0.234 1
O4 0.103 0.198 0.599 1
O5 0.123 0.471 0.803 1
O6 0.128 0.020 0.379 1
O7 0.146 0.703 0.580 1
O8 0.162 0.838 0.946 1
O9 0.204 0.043 0.175 1
O10 0.236 0.378 0.975 1
# ρ: 2.938 g/cm³
# DFT total energy: -490.1 eV per cell

# 4
# PBE Na4Sc2Si4O13, relaxed
data_Na4Sc2Si4O13
_chemical_formula_sum 'Na16 Sc8 Si16 O52'
_symmetry_space_group_name_H-M 'P n a 21'
_symmetry_Int_Tables_number 33
_cell_length_a 14.366
_cell_length_b 5.355
_cell_length_c 14.592
_cell_angle_alpha 90.00
_cell_angle_beta 90.00
_cell_angle_gamma 90.00
loop_
_symmetry_equiv_pos_as_xyz
'x,y,z'
'-x,-y,z+1/2'
'-x+1/2,y+1/2,z+1/2'
'x+1/2,-y+1/2,z'
loop_
_atom_site_label
_atom_site_fract_x
_atom_site_fract_y
_atom_site_fract_z
_atom_site_occupancy
Na1 0.051 0.193 0.000 1
Na2 0.078 0.676 0.297 1
Na3 0.170 0.674 0.089 1
Na4 0.198 0.280 0.376 1
Sc1 0.079 0.350 0.584 1
Sc2 0.170 0.190 0.791 1
Si1 0.023 0.149 0.211 1
Si2 0.058 0.701 0.892 1
Si3 0.194 0.825 0.484 1
Si4 0.227 0.173 0.166 1
O1 0.015 0.404 0.153 1
O2 0.031 0.745 0.000 1
O3 0.033 0.208 0.324 1
O4 0.054 0.075 0.696 1
O5 0.075 0.409 0.864 1
O6 0.107 0.634 0.495 1
O7 0.127 0.019 0.187 1
O8 0.145 0.887 0.870 1
O9 0.173 0.111 0.518 1
O10 0.192 0.463 0.681 1
O11 0.217 0.229 0.053 1
O12 0.224 0.817 0.375 1
O13 0.229 0.432 0.222 1
# ρ: 2.971 g/cm³
# DFT total energy: -670.6 eV per cell

# 5
# PBE Na6ScTa3Si6O24, relaxed
data_Na6ScTa3Si6O24
_chemical_formula_sum 'Na18 Sc3 Ta9 Si18 O72'
_symmetry_space_group_name_H-M 'P 1'
_symmetry_Int_Tables_number 1
_cell_length_a 9.067
_cell_length_b 9.068
_cell_length_c 22.651
_cell_angle_alpha 90.02
_cell_angle_beta 90.02
_cell_angle_gamma 119.97
loop_
_symmetry_equiv_pos_as_xyz
'x,y,z'
loop_
_atom_site_label
_atom_site_fract_x
_atom_site_fract_y
_atom_site_fract_z
_atom_site_occupancy
Na1 0.000 0.000 0.000 1
Na2 0.000 0.000 0.495 1
Na3 0.000 0.637 0.752 1
Na4 0.041 0.343 0.581 1
Na5 0.300 0.959 0.581 1
Na6 0.323 0.295 0.414 1
Na7 0.324 0.032 0.914 1
Na8 0.327 0.661 0.164 1
Na9 0.339 0.667 0.666 1
Na10 0.362 0.003 0.250 1
Na11 0.639 0.639 0.250 1
Na12 0.658 0.700 0.581 1
Na13 0.660 0.328 0.832 1
Na14 0.673 0.334 0.330 1
Na15 0.705 0.028 0.413 1
Na16 0.708 0.676 0.915 1
Na17 0.968 0.293 0.914 1
Na18 0.973 0.678 0.414 1
Sc1 0.000 0.002 0.851 1
Sc2 0.333 0.667 0.518 1
Sc3 0.999 0.001 0.349 1
Ta1 0.000 0.001 0.649 1
Ta2 0.001 0.001 0.144 1
Ta3 0.329 0.663 0.312 1
Ta4 0.334 0.668 0.023 1
Ta5 0.338 0.667 0.812 1
Ta6 0.663 0.330 0.688 1
Ta7 0.666 0.334 0.479 1
Ta8 0.667 0.334 0.982 1
Ta9 0.671 0.334 0.184 1
Si1 0.001 0.292 0.751 1
Si2 0.042 0.375 0.418 1
Si3 0.045 0.666 0.917 1
Si4 0.289 0.291 0.249 1
Si5 0.293 0.002 0.752 1
Si6 0.332 0.957 0.417 1
Si7 0.334 0.379 0.918 1
Si8 0.375 0.043 0.083 1
Si9 0.376 0.333 0.584 1
Si10 0.621 0.956 0.917 1
Si11 0.626 0.669 0.418 1
Si12 0.667 0.626 0.084 1
Si13 0.668 0.044 0.584 1
Si14 0.706 0.709 0.751 1
Si15 0.712 0.004 0.250 1
Si16 0.956 0.624 0.584 1
Si17 0.959 0.333 0.083 1
Si18 0.999 0.708 0.250 1
O1 0.017 0.187 0.411 1
O2 0.024 0.832 0.913 1
O3 0.028 0.198 0.692 1
O4 0.034 0.837 0.194 1
O5 0.132 0.630 0.858 1
O6 0.137 0.506 0.361 1
O7 0.142 0.644 0.581 1
O8 0.145 0.503 0.075 1
O9 0.155 0.456 0.476 1
O10 0.166 0.194 0.193 1
O11 0.168 0.193 0.914 1
O12 0.168 0.486 0.756 1
O13 0.168 0.969 0.692 1
O14 0.170 0.984 0.411 1
O15 0.171 0.693 0.973 1
O16 0.175 0.696 0.256 1
O17 0.188 0.026 0.091 1
O18 0.189 0.157 0.591 1
O19 0.214 0.034 0.809 1
O20 0.221 0.178 0.308 1
O21 0.301 0.845 0.476 1
O22 0.302 0.825 0.756 1
O23 0.307 0.477 0.973 1
O24 0.318 0.486 0.256 1
O25 0.357 0.499 0.581 1
O26 0.358 0.856 0.075 1
O27 0.369 0.507 0.860 1
O28 0.369 0.868 0.359 1
O29 0.467 0.298 0.525 1
O30 0.470 0.165 0.025 1
O31 0.482 0.168 0.740 1
O32 0.483 0.316 0.240 1
O33 0.493 0.863 0.860 1
O34 0.496 0.137 0.141 1
O35 0.498 0.642 0.075 1
O36 0.499 0.632 0.359 1
O37 0.502 0.859 0.581 1
O38 0.504 0.360 0.639 1
O39 0.509 0.365 0.924 1
O40 0.510 0.147 0.423 1
O41 0.518 0.690 0.756 1
O42 0.519 0.830 0.256 1
O43 0.523 0.830 0.973 1
O44 0.543 0.700 0.476 1
O45 0.635 0.145 0.924 1
O46 0.637 0.490 0.423 1
O47 0.639 0.504 0.141 1
O48 0.642 0.145 0.639 1
O49 0.677 0.165 0.240 1
O50 0.692 0.523 0.739 1
O51 0.694 0.530 0.025 1
O52 0.703 0.170 0.525 1
O53 0.802 0.830 0.691 1
O54 0.804 0.966 0.194 1
O55 0.807 0.975 0.913 1
O56 0.814 0.830 0.412 1
O57 0.816 0.034 0.310 1
O58 0.826 0.783 0.808 1
O59 0.828 0.520 0.240 1
O60 0.830 0.533 0.526 1
O61 0.837 0.306 0.025 1
O62 0.837 0.322 0.740 1
O63 0.838 0.812 0.091 1
O64 0.843 0.032 0.590 1
O65 0.853 0.363 0.423 1
O66 0.855 0.491 0.924 1
O67 0.860 0.361 0.139 1
O68 0.860 0.502 0.641 1
O69 0.958 0.780 0.309 1
O70 0.965 0.180 0.809 1
O71 0.969 0.812 0.590 1
O72 0.974 0.163 0.091 1
# ρ: 3.947 g/cm³
# DFT total energy: -926.1 eV per cell
# Distance to the lowest polymorph of the same formula: 9 kJ/mol of formula units